[1]
Computed, not measured: an optimized crystal structure of Sc2Se3 at the PBE level of DFT.

Calculated values
* total energy after the MP2020 corrections: -132.4 eV/cell
* mass density: 4.43 g/cm3

Cell: 12.7896 12.2083 6.6924 Å, 79.33 69.72 30.95°
Sites, in units of the cell vectors:
Sc 0.3332 0.3332 0.1668
Sc 0.2521 0.2521 0.7479
Sc 0.7479 0.7479 0.2521
Sc 0.9168 0.9168 0.0832
Sc 0.5021 0.5021 0.9979
Sc 0.9979 0.9979 0.5021
Sc 0.0832 0.0832 0.9168
Sc 0.1668 0.1668 0.3332
Se 0.6640 0.1732 0.8398
Se 0.4102 0.9271 0.5860
Se 0.4947 0.0053 0.0053
Se 0.7553 0.2447 0.2447
Se 0.0053 0.4947 0.4947
Se 0.8398 0.3229 0.6640
Se 0.3229 0.8398 0.1732
Se 0.9271 0.4102 0.0768
Se 0.5860 0.0768 0.4102
Se 0.0768 0.5860 0.9271
Se 0.1732 0.6640 0.3229
Se 0.2447 0.7553 0.7553

[2]
Computed, not measured: an optimized crystal structure of Bi12Cl5O16 at the PBE level of DFT.

Calculated values
* total energy after the MP2020 corrections: -186.1 eV/cell
* mass density: 7.98 g/cm3

Cell: 15.5003 15.5003 10.0611 Å, 89.24 89.24 14.67°
Sites, in units of the cell vectors:
Bi 0.1743 0.1743 0.2380
Bi 0.4665 0.4665 0.2359
Bi 0.5854 0.5854 0.4003
Bi 0.9410 0.9410 0.9235
Bi 0.7037 0.7037 0.5627
Bi 0.5335 0.5335 0.7641
Bi 0.4146 0.4146 0.5997
Bi 0.3483 0.3483 0.0710
Bi 0.0590 0.0590 0.0765
Bi 0.2963 0.2963 0.4373
Bi 0.6517 0.6517 0.9290
Bi 0.8257 0.8257 0.7620
O 0.5750 0.5750 0.9460
O 0.3416 0.3416 0.6126
O 0.9805 0.9805 0.1342
O 0.0195 0.0195 0.8658
O 0.8655 0.8655 0.9722
O 0.7772 0.7772 0.5374
O 0.4250 0.4250 0.0540
O 0.8975 0.8975 0.7025
O 0.1345 0.1345 0.0278
O 0.1025 0.1025 0.2975
O 0.3195 0.3195 0.8785
O 0.2228 0.2228 0.4626
O 0.4587 0.4587 0.7806
O 0.6805 0.6805 0.1215
O 0.6584 0.6584 0.3874
O 0.5413 0.5413 0.2194
Cl 0.1125 0.1125 0.6537
Cl 0.8875 0.8875 0.3463
Cl 0.7801 0.7801 0.1958
Cl 0.0000 0.0000 0.5000
Cl 0.2199 0.2199 0.8042

[3]
Computed, not measured: an optimized crystal structure of LiGdSe2 at the PBE level of DFT.

Calculated values
* total energy after the MP2020 corrections: -30.4 eV/cell
* mass density: 5.60 g/cm3

Cell: 4.1261 4.1261 5.6066 Å, 90.00 90.00 90.00°
Sites, in units of the cell vectors:
Se 0.5000 0.5000 0.0000
Se 0.0000 0.0000 0.5000
Gd 0.5000 0.5000 0.5000
Li 0.0000 0.0000 0.0000

[4]
Computed, not measured: an optimized crystal structure of Mg4SO18 at the PBE level of DFT.

Calculated values
* total energy after the MP2020 corrections: -245.0 eV/cell
* mass density: 2.01 g/cm3

Cell: 5.8992 5.8992 20.1963 Å, 91.08 91.08 100.94°
Sites, in units of the cell vectors:
O 0.3157 0.1593 0.1261
O 0.6843 0.8407 0.8739
O 0.7702 0.2953 0.1900
O 0.3973 0.6821 0.5273
O 0.3561 0.6976 0.3223
O 0.7580 0.9212 0.2359
O 0.9105 0.8151 0.5364
O 0.6821 0.3973 0.0273
O 0.6439 0.3024 0.6777
O 0.9212 0.7580 0.7359
O 0.3024 0.6439 0.1777
O 0.8950 0.3179 0.8220
O 0.3499 0.0171 0.0835
O 0.7917 0.4637 0.9601
O 0.9829 0.6501 0.4165
O 0.2298 0.7047 0.8100
O 0.2420 0.0788 0.7641
O 0.0171 0.3499 0.5835
O 0.6501 0.9829 0.9165
O 0.7047 0.2298 0.3100
O 0.3179 0.6027 0.9727
O 0.5363 0.2083 0.5399
O 0.8407 0.6843 0.3739
O 0.8151 0.9105 0.0364
O 0.3179 0.8950 0.3220
O 0.2083 0.5363 0.0399
O 0.2953 0.7702 0.6900
O 0.6976 0.3561 0.8223
O 0.4637 0.7917 0.4601
O 0.1849 0.0895 0.9636
O 0.1593 0.3157 0.6261
O 0.6027 0.3179 0.4727
O 0.0895 0.1849 0.4636
O 0.6821 0.1050 0.6780
O 0.1050 0.6821 0.1780
O 0.0788 0.2420 0.2641
Mg 0.5493 0.6835 0.0539
Mg 0.7690 0.0402 0.4830
Mg 0.2310 0.9598 0.5170
Mg 0.3165 0.4507 0.4461
Mg 0.4507 0.3165 0.9461
Mg 0.9598 0.2310 0.0170
Mg 0.6835 0.5493 0.5539
Mg 0.0402 0.7690 0.9830
S 0.1728 0.8272 0.7500
S 0.8272 0.1728 0.2500

[5]
Computed, not measured: an optimized crystal structure of Tl2SnHgTe4 at the PBE level of DFT.

Calculated values
* total energy after the MP2020 corrections: -25.2 eV/cell
* mass density: 7.45 g/cm3

Cell: 7.1455 7.1455 7.1455 Å, 105.28 105.28 118.22°
Sites, in units of the cell vectors:
Te 0.9425 0.5815 0.0000
Te 0.5815 0.9425 0.0000
Te 0.0575 0.0575 0.6390
Te 0.4185 0.4185 0.3610
Tl 0.0000 0.5000 0.5000
Tl 0.5000 0.0000 0.5000
Hg 0.5000 0.5000 0.0000
Sn 0.0000 0.0000 0.0000

[6]
Computed, not measured: an optimized crystal structure of Cu2BH5O6 at the PBE level of DFT.

Calculated values
* total energy after the MP2020 corrections: -325.7 eV/cell
* mass density: 3.20 g/cm3

Cell: 5.9200 8.8307 9.5016 Å, 90.00 90.00 90.00°
Sites, in units of the cell vectors:
O 0.0501 0.1762 0.0825
O 0.7500 0.1708 0.8620
O 0.2500 0.8292 0.1380
O 0.9499 0.6762 0.4175
O 0.7500 0.9944 0.6344
O 0.5501 0.8238 0.9175
O 0.7500 0.3292 0.3620
O 0.2500 0.5283 0.1535
O 0.4499 0.1762 0.0825
O 0.2500 0.6708 0.6380
O 0.2500 0.1614 0.8627
O 0.4499 0.3238 0.5825
O 0.7500 0.8386 0.1373
O 0.9499 0.8238 0.9175
O 0.2500 0.3386 0.3627
O 0.7500 0.4717 0.8465
O 0.7500 0.6614 0.6373
O 0.5501 0.6762 0.4175
O 0.2500 0.9717 0.6535
O 0.7500 0.0283 0.3465
O 0.0501 0.3238 0.5825
O 0.2500 0.4944 0.8656
O 0.2500 0.0056 0.3656
O 0.7500 0.5056 0.1344
H 0.9229 0.3274 0.5139
H 0.7500 0.0115 0.4507
H 0.7500 0.4885 0.9507
H 0.2500 0.9885 0.5493
H 0.2500 0.5115 0.0493
H 0.2500 0.3842 0.8484
H 0.0771 0.6726 0.4861
H 0.4229 0.8274 0.9861
H 0.4229 0.6726 0.4861
H 0.2500 0.7840 0.6566
H 0.2500 0.7160 0.1566
H 0.5771 0.3274 0.5139
H 0.7500 0.2840 0.8434
H 0.7500 0.6158 0.1516
H 0.7500 0.2160 0.3434
H 0.7500 0.8842 0.6516
H 0.2500 0.1158 0.3484
H 0.9229 0.1726 0.0139
H 0.0771 0.8274 0.9861
H 0.5771 0.1726 0.0139
B 0.7500 0.8305 0.9929
B 0.2500 0.3305 0.5071
B 0.2500 0.1695 0.0071
B 0.7500 0.6695 0.4929
Cu 0.0010 0.9233 0.2513
Cu 0.5010 0.0767 0.7487
Cu 0.5010 0.4233 0.2487
Cu 0.4990 0.5767 0.7513
Cu 0.9990 0.0767 0.7487
Cu 0.0010 0.5767 0.7513
Cu 0.4990 0.9233 0.2513
Cu 0.9990 0.4233 0.2487

[7]
Computed, not measured: an optimized crystal structure of Ti2O7 at the PBE level of DFT.

Calculated values
* electronic total energy: -134.0 eV/cell
* mass density: 1.99 g/cm3

Cell: 5.9869 6.0711 10.8887 Å, 86.90 88.20 61.05°
Sites, in units of the cell vectors:
Ti 0.3362 0.3166 0.6721
Ti 0.3325 0.3414 0.3366
Ti 0.6675 0.6586 0.6634
Ti 0.6638 0.6834 0.3279
O 0.4791 0.9799 0.7137
O 0.3358 0.3294 0.5045
O 0.8054 0.7125 0.0691
O 0.4724 0.5398 0.2837
O 0.6642 0.6706 0.4955
O 0.5209 0.0201 0.2863
O 0.6576 0.6763 0.9993
O 0.5740 0.2409 0.9657
O 0.1946 0.2875 0.9309
O 0.0007 0.4821 0.2869
O 0.9993 0.5179 0.7131
O 0.3424 0.3237 0.0007
O 0.4260 0.7591 0.0343
O 0.5276 0.4602 0.7163

[8]
Computed, not measured: an optimized crystal structure of Ta3RhS6 at the PBE level of DFT.

Calculated values
* total energy after the MP2020 corrections: -161.2 eV/cell
* mass density: 7.93 g/cm3

Cell: 5.7677 5.7677 12.1867 Å, 90.00 90.00 120.00°
Sites, in units of the cell vectors:
S 0.3331 0.0034 0.1293
S 0.3298 0.3331 0.6293
S 0.9966 0.6669 0.3707
S 0.3331 0.3298 0.3707
S 0.6702 0.6669 0.1293
S 0.9966 0.3298 0.1293
S 0.6669 0.6702 0.8707
S 0.0034 0.3331 0.8707
S 0.6669 0.9966 0.6293
S 0.3298 0.9966 0.8707
S 0.0034 0.6702 0.6293
S 0.6702 0.0034 0.3707
Ta 0.3333 0.6667 0.9974
Ta 0.3333 0.6667 0.5026
Ta 0.0000 0.0000 0.5000
Ta 0.6667 0.3333 0.4974
Ta 0.0000 0.0000 0.0000
Ta 0.6667 0.3333 0.0026
Rh 0.3333 0.6667 0.2500
Rh 0.6667 0.3333 0.7500

[9]
Computed, not measured: an optimized crystal structure of Ho3Ga8Ir3 at the PBE level of DFT.

Calculated values
* electronic total energy: -73.7 eV/cell
* mass density: 10.65 g/cm3

Cell: 8.1414 8.1414 8.1414 Å, 150.15 105.08 82.68°
Sites, in units of the cell vectors:
Ho 0.1722 0.1722 0.0000
Ho 0.5000 0.5000 0.0000
Ho 0.8278 0.8278 0.0000
Ga 0.6617 0.3746 0.2872
Ga 0.4631 0.8350 0.6282
Ga 0.2068 0.8350 0.3718
Ga 0.3383 0.6254 0.7128
Ga 0.0874 0.3746 0.7128
Ga 0.7932 0.1650 0.6282
Ga 0.9126 0.6254 0.2872
Ga 0.5369 0.1650 0.3718
Ir 0.0000 0.5000 0.5000
Ir 0.7861 0.0000 0.7861
Ir 0.2139 0.0000 0.2139

[10]
Computed, not measured: an optimized crystal structure of Ba7Na5Li3N3 at the PBE level of DFT.

Calculated values
* total energy after the MP2020 corrections: -111.0 eV/cell
* mass density: 2.75 g/cm3

Cell: 12.4833 12.4833 12.4833 Å, 60.00 60.00 60.00°
Sites, in units of the cell vectors:
N 0.1487 0.1487 0.8513
N 0.1487 0.8513 0.8513
N 0.8513 0.8513 0.1487
N 0.8513 0.1487 0.1487
N 0.8513 0.1487 0.8513
N 0.1487 0.8513 0.1487
Ba 0.8953 0.8953 0.8953
Ba 0.3142 0.8953 0.8953
Ba 0.1039 0.6882 0.1039
Ba 0.7089 0.7089 0.2911
Ba 0.1039 0.1039 0.1039
Ba 0.2911 0.7089 0.2911
Ba 0.7089 0.2911 0.7089
Ba 0.1039 0.1039 0.6882
Ba 0.8953 0.8953 0.3142
Ba 0.6882 0.1039 0.1039
Ba 0.8953 0.3142 0.8953
Ba 0.2911 0.7089 0.7089
Ba 0.7089 0.2911 0.2911
Ba 0.2911 0.2911 0.7089
Na 0.3292 0.3292 0.0123
Na 0.5084 0.9916 0.5084
Na 0.9916 0.9916 0.5084
Na 0.5084 0.9916 0.9916
Na 0.5084 0.5084 0.9916
Na 0.9916 0.5084 0.5084
Na 0.3292 0.3292 0.3292
Na 0.3292 0.0123 0.3292
Na 0.0123 0.3292 0.3292
Na 0.9916 0.5084 0.9916
Li 0.6788 0.6788 0.6788
Li 0.6788 0.6788 0.9637
Li 0.6788 0.9637 0.6788
Li 0.9637 0.6788 0.6788
Li 0.5000 0.5000 0.5000
Li 0.0000 0.0000 0.0000

[11]
Computed, not measured: an optimized crystal structure of YMg14Zr at the PBE level of DFT.

Calculated values
* offset from the most stable computed form: 17 meV/atom
* mass density: 2.29 g/cm3

Cell: 6.5360 6.5359 10.1855 Å, 90.00 90.00 120.00°
Sites, in units of the cell vectors:
Mg 0.6642 0.3283 0.1250
Mg 0.3336 0.1664 0.8710
Mg 0.8333 0.6667 0.8762
Mg 0.3336 0.6671 0.8710
Mg 0.3336 0.6671 0.3790
Mg 0.1717 0.8358 0.1250
Mg 0.8333 0.6667 0.3738
Mg 0.6642 0.8358 0.1250
Mg 0.6653 0.8347 0.6250
Mg 0.3336 0.1664 0.3790
Mg 0.1694 0.8347 0.6250
Mg 0.6653 0.3306 0.6250
Mg 0.8329 0.1664 0.3790
Mg 0.8329 0.1664 0.8710
Y 0.1667 0.3333 0.1250
Zr 0.1667 0.3333 0.6250

[12]
Computed, not measured: an optimized crystal structure of Cs2BaP2O7 at the PBE level of DFT.

Calculated values
* total energy after the MP2020 corrections: -335.3 eV/cell
* mass density: 4.09 g/cm3

Cell: 6.2744 10.9287 15.4559 Å, 62.15 90.00 90.00°
Sites, in units of the cell vectors:
O 0.8930 0.8124 0.5682
O 0.6070 0.8124 0.0682
O 0.0281 0.2544 0.6449
O 0.7787 0.5150 0.4067
O 0.9719 0.7456 0.3551
O 0.2787 0.4850 0.0933
O 0.9963 0.7683 0.1262
O 0.7213 0.5150 0.9067
O 0.2128 0.0327 0.8692
O 0.5728 0.7235 0.3977
O 0.9272 0.7235 0.8977
O 0.8147 0.7146 0.7450
O 0.0037 0.2317 0.8738
O 0.5281 0.7456 0.8551
O 0.1070 0.1876 0.4318
O 0.7128 0.9673 0.6308
O 0.4272 0.2765 0.6023
O 0.6853 0.7146 0.2450
O 0.0728 0.2765 0.1023
O 0.2872 0.0327 0.3692
O 0.5037 0.7683 0.6262
O 0.4719 0.2544 0.1449
O 0.1853 0.2854 0.2550
O 0.7872 0.9673 0.1308
O 0.2213 0.4850 0.5933
O 0.4963 0.2317 0.3738
O 0.3147 0.2854 0.7550
O 0.3930 0.1876 0.9318
Ba 0.2577 0.7602 0.9915
Ba 0.7577 0.2398 0.5085
Ba 0.7423 0.2398 0.0085
Ba 0.2423 0.7602 0.4915
Cs 0.2242 0.9669 0.6738
Cs 0.7242 0.0331 0.8262
Cs 0.2758 0.9669 0.1738
Cs 0.2645 0.5180 0.3440
Cs 0.7758 0.0331 0.3262
Cs 0.7355 0.4820 0.6560
Cs 0.7645 0.4820 0.1560
Cs 0.2355 0.5180 0.8440
P 0.7402 0.6735 0.8585
P 0.7768 0.8240 0.1353
P 0.7232 0.8240 0.6353
P 0.2232 0.1760 0.8647
P 0.2768 0.1760 0.3647
P 0.2598 0.3265 0.1415
P 0.2402 0.3265 0.6415
P 0.7598 0.6735 0.3585